# Cs2Mo4O13

Crystalline Cs2Mo4O13 at its relaxed geometry (PBE with a Hubbard U, Materials Project).

symmetry: P-1, No. 2
energy of formation: -2.07 eV/atom

The structure in CIF format:
```
data_Cs2Mo4O13
_cell_length_a 8.667
_cell_length_b 8.962
_cell_length_c 10.732
_cell_angle_alpha 106.80
_cell_angle_beta 103.36
_cell_angle_gamma 109.61
_space_group_name_H-M_alt 'P 1'
_space_group_IT_number 1
loop_
_space_group_symop_operation_xyz
'x,y,z'
loop_
_atom_site_label
_atom_site_type_symbol
_atom_site_fract_x
_atom_site_fract_y
_atom_site_fract_z
_atom_site_occupancy
Cs1 Cs 0.083 0.133 0.304 1
Cs2 Cs 0.353 0.806 0.589 1
Cs3 Cs 0.647 0.194 0.411 1
Cs4 Cs 0.917 0.867 0.696 1
Mo1 Mo 0.126 0.437 0.736 1
Mo2 Mo 0.149 0.708 0.049 1
Mo3 Mo 0.467 0.290 0.967 1
Mo4 Mo 0.497 0.584 0.285 1
Mo5 Mo 0.503 0.416 0.715 1
Mo6 Mo 0.533 0.710 0.033 1
Mo7 Mo 0.851 0.292 0.951 1
Mo8 Mo 0.874 0.563 0.264 1
O1 O 0.002 0.783 0.368 1
O2 O 0.018 0.538 0.659 1
O3 O 0.019 0.771 0.948 1
O4 O 0.021 0.430 0.888 1
O5 O 0.272 0.896 0.201 1
O6 O 0.299 0.696 0.930 1
O7 O 0.311 0.486 0.663 1
O8 O 0.350 0.073 0.857 1
O9 O 0.352 0.397 0.872 1
O10 O 0.352 0.490 0.357 1
O11 O 0.361 0.620 0.137 1
O12 O 0.388 0.201 0.592 1
O13 O 0.392 0.312 0.110 1
O14 O 0.608 0.688 0.890 1
O15 O 0.612 0.799 0.408 1
O16 O 0.639 0.380 0.863 1
O17 O 0.648 0.510 0.643 1
O18 O 0.648 0.603 0.128 1
O19 O 0.650 0.927 0.143 1
O20 O 0.689 0.514 0.337 1
O21 O 0.701 0.304 0.070 1
O22 O 0.728 0.104 0.799 1
O23 O 0.979 0.570 0.112 1
O24 O 0.981 0.229 0.052 1
O25 O 0.982 0.462 0.341 1
O26 O 0.998 0.217 0.632 1
```